(1)
{"formula": "K3GaSe3", "functional": "PBE-GGA", "state": "optimized geometry", "formation_enthalpy_0k_ev_per_atom": -1.28, "energy_ev_per_atom": -3.48, "crystal_system": "monoclinic", "spacegroup": "P2_1/c (14)", "lattice": [[8.1775, 0.0000, 0.0000], [0.0000, 13.1929, 0.0000], [-6.5192, 0.0000, 8.4366]], "species": ["K", "K", "K", "K", "K", "K", "K", "K", "K", "K", "K", "K", "Ga", "Ga", "Ga", "Ga", "Se", "Se", "Se", "Se", "Se", "Se", "Se", "Se", "Se", "Se", "Se", "Se"], "fractional_positions": [[0.1248, 0.1229, 0.4742], [0.1248, 0.3771, 0.9742], [0.1608, 0.0908, 0.8957], [0.1608, 0.4092, 0.3957], [0.3686, 0.6898, 0.5833], [0.3686, 0.8102, 0.0833], [0.6314, 0.1898, 0.9167], [0.6314, 0.3102, 0.4167], [0.8392, 0.5908, 0.6043], [0.8392, 0.9092, 0.1043], [0.8752, 0.6229, 0.0258], [0.8752, 0.8771, 0.5258], [0.4334, 0.0611, 0.3352], [0.4334, 0.4389, 0.8352], [0.5666, 0.5611, 0.1648], [0.5666, 0.9389, 0.6648], [0.1488, 0.1795, 0.1870], [0.1488, 0.3204, 0.6870], [0.3405, 0.6086, 0.8753], [0.3405, 0.8914, 0.3753], [0.3717, 0.5480, 0.2651], [0.3717, 0.9520, 0.7651], [0.6283, 0.0480, 0.2349], [0.6283, 0.4520, 0.7349], [0.6595, 0.1086, 0.6247], [0.6595, 0.3914, 0.1247], [0.8512, 0.6796, 0.3130], [0.8512, 0.8204, 0.8130]]}

***

(2)
{"formula": "KHO", "functional": "PBE-GGA", "state": "optimized geometry", "formation_enthalpy_0k_ev_per_atom": -1.55, "energy_ev_per_atom": -4.47, "crystal_system": "monoclinic", "spacegroup": "P2_1 (4)", "e_ij_max_c_m2": 0.3, "lattice": [[4.0540, 0.0000, 0.0000], [0.0000, 3.9839, 0.0000], [-1.4778, 0.0000, 5.5607]], "species": ["K", "K", "H", "H", "O", "O"], "fractional_positions": [[0.1722, 0.0000, 0.2881], [0.8278, 0.5000, 0.7119], [0.4304, 0.1360, 0.9095], [0.5696, 0.6360, 0.0905], [0.3242, 0.9889, 0.7748], [0.6758, 0.4889, 0.2252]]}

***

(3)
{"formula": "LiO", "functional": "PBE-GGA", "state": "optimized geometry", "formation_enthalpy_0k_ev_per_atom": -1.36, "energy_ev_per_atom": -4.45, "crystal_system": "cubic", "spacegroup": "Pm-3m (221)", "magnetic_moment_mub_per_atom": 0.50, "lattice": [[2.5381, 0.0000, 0.0000], [0.0000, 2.5381, 0.0000], [0.0000, 0.0000, 2.5381]], "species": ["Li", "O"], "fractional_positions": [[0.0000, 0.0000, 0.0000], [0.5000, 0.5000, 0.5000]]}

***

(4)
{"formula": "Na4TiInSi2PO12", "functional": "PBE-GGA", "state": "optimized geometry", "formation_enthalpy_0k_ev_per_atom": -2.75, "energy_ev_per_atom": -6.72, "magnetic_moment_mub_per_atom": 0.00, "lattice": [[9.1563, 0.0134, 0.0087], [-4.5665, 7.9363, -0.0087], [0.0268, -0.0155, 22.0570]], "species": ["Na", "In", "Na", "Na", "In", "Na", "Si", "O", "Si", "O", "O", "Na", "Si", "O", "O", "Na", "O", "Si", "Na", "O", "O", "Na", "In", "O", "O", "In", "O", "O", "O", "O", "In", "O", "Ti", "O", "O", "O", "Ti", "P", "O", "Ti", "O", "O", "Na", "O", "Na", "P", "O", "O", "Na", "Na", "Ti", "Ti", "O", "O", "O", "Si", "O", "O", "O", "Na", "O", "Si", "Na", "O", "O", "Na", "O", "O", "O", "O", "Na", "O", "O", "P", "O", "O", "O", "O", "P", "O", "O", "In", "O", "Na", "O", "O", "Na", "O", "P", "Si", "Si", "O", "O", "O", "O", "O", "O", "O", "Si", "O", "Ti", "Na", "Na", "O", "Na", "Na", "O", "O", "O", "Si", "O", "Na", "O", "O", "O", "Na", "O", "P", "Si", "O", "O", "O", "O", "O", "O", "Si"], "fractional_positions": [[0.7046, 0.0362, 0.9116], [0.6615, 0.3299, 0.6823], [0.6403, 0.0070, 0.2506], [0.6744, 0.3401, 0.3321], [0.9948, 0.9966, 0.3490], [0.2971, 0.9621, 0.0782], [0.0341, 0.6617, 0.4174], [0.8919, 0.5215, 0.1449], [0.3383, 0.9659, 0.9174], [0.1801, 0.4848, 0.2538], [0.6668, 0.5126, 0.2470], [0.3212, 0.2909, 0.9149], [0.6999, 0.7047, 0.2509], [0.8073, 0.9736, 0.6924], [0.6270, 0.4909, 0.9191], [0.9878, 0.6242, 0.2482], [0.0264, 0.1927, 0.1924], [0.3674, 0.3283, 0.0840], [0.7091, 0.6788, 0.4149], [0.1758, 0.7063, 0.7525], [0.9645, 0.8159, 0.0879], [0.9932, 0.9922, 0.4988], [0.3282, 0.6633, 0.0157], [0.1407, 0.6403, 0.3590], [0.8330, 0.5251, 0.0262], [0.6701, 0.3385, 0.1823], [0.5257, 0.8612, 0.0768], [0.8590, 0.5279, 0.7435], [0.8884, 0.3606, 0.6414], [0.8363, 0.3172, 0.2471], [0.3367, 0.6718, 0.5157], [0.6930, 0.5260, 0.5257], [0.3318, 0.6687, 0.3146], [0.0161, 0.8304, 0.4138], [0.6828, 0.1637, 0.7471], [0.4740, 0.3070, 0.0257], [0.6652, 0.3353, 0.9812], [0.9572, 0.3269, 0.5828], [0.4785, 0.1081, 0.6449], [0.9980, 0.0015, 0.1479], [0.1451, 0.4415, 0.9783], [0.3495, 0.4970, 0.0805], [0.6545, 0.9576, 0.5815], [0.1696, 0.9839, 0.9138], [0.9638, 0.2954, 0.4116], [0.6731, 0.0428, 0.0828], [0.2252, 0.1882, 0.8116], [0.3103, 0.8599, 0.9787], [0.6599, 0.3256, 0.8321], [0.6305, 0.6288, 0.7449], [0.6647, 0.3348, 0.4812], [0.9985, 0.0020, 0.6479], [0.5174, 0.7022, 0.2546], [0.1841, 0.0355, 0.5879], [0.1743, 0.9746, 0.1941], [0.6717, 0.6326, 0.5840], [0.3597, 0.8593, 0.8590], [0.2937, 0.8242, 0.2525], [0.1541, 0.6665, 0.0804], [0.6597, 0.6930, 0.0839], [0.8467, 0.8181, 0.5871], [0.0050, 0.2992, 0.2507], [0.3712, 0.3695, 0.2449], [0.5091, 0.3730, 0.4191], [0.5152, 0.8199, 0.7538], [0.3070, 0.3403, 0.5839], [0.8410, 0.3079, 0.5274], [0.5134, 0.1514, 0.9204], [0.1819, 0.1533, 0.0871], [0.4997, 0.8584, 0.3596], [0.0078, 0.0068, 0.9988], [0.1924, 0.1946, 0.4102], [0.2217, 0.0272, 0.3081], [0.0065, 0.7095, 0.7494], [0.4734, 0.3563, 0.1454], [0.4721, 0.1410, 0.2435], [0.3335, 0.8459, 0.5804], [0.6437, 0.5266, 0.6454], [0.6239, 0.6602, 0.9161], [0.8486, 0.4866, 0.4204], [0.6921, 0.1590, 0.0274], [0.0034, 0.0052, 0.8490], [0.5585, 0.8549, 0.4783], [0.9736, 0.6737, 0.9173], [0.8054, 0.8076, 0.9102], [0.4749, 0.1670, 0.5262], [0.3263, 0.0264, 0.4173], [0.9728, 0.7783, 0.8081], [0.2905, 0.9935, 0.2494], [0.3665, 0.0380, 0.5842], [0.6287, 0.9668, 0.4176], [0.4874, 0.3332, 0.7470], [0.8508, 0.3689, 0.9213], [0.9604, 0.1575, 0.5858], [0.1388, 0.4743, 0.5768], [0.1416, 0.5003, 0.8596], [0.9770, 0.1933, 0.3121], [0.6394, 0.1116, 0.1414], [0.9620, 0.6335, 0.0842], [0.1664, 0.1917, 0.6929], [0.3313, 0.6682, 0.8146], [0.9930, 0.3597, 0.7506], [0.0379, 0.7029, 0.5782], [0.8425, 0.0396, 0.0858], [0.3265, 0.6589, 0.1654], [0.3758, 0.0122, 0.7482], [0.8208, 0.9999, 0.4137], [0.8083, 0.8336, 0.1929], [0.5550, 0.6939, 0.9748], [0.2953, 0.3001, 0.7509], [0.6311, 0.1492, 0.4213], [0.0424, 0.3455, 0.0815], [0.5030, 0.6505, 0.5805], [0.8118, 0.7748, 0.3116], [0.8067, 0.0230, 0.8121], [0.3411, 0.6735, 0.6654], [0.5077, 0.6413, 0.8607], [0.3398, 0.3761, 0.4161], [0.7008, 0.9950, 0.7507], [0.3587, 0.4923, 0.3607], [0.1401, 0.6897, 0.4787], [0.3061, 0.4450, 0.4748], [0.0001, 0.1792, 0.9137], [0.0254, 0.8257, 0.6941], [0.2978, 0.4826, 0.7546], [0.0332, 0.3713, 0.9176]]}

***

(5)
{"formula": "Na5MgSbO5", "functional": "PBE-GGA", "state": "optimized geometry", "formation_enthalpy_0k_ev_per_atom": -1.77, "energy_ev_per_atom": -4.57, "crystal_system": "triclinic", "spacegroup": "P1 (1)", "magnetic_moment_mub_per_atom": 0.00, "lattice": [[5.3617, 0.0000, 0.0000], [1.7213, 5.5729, 0.0000], [0.3597, 1.1582, 6.5953]], "species": ["Na", "Na", "Na", "Na", "Na", "Mg", "Sb", "O", "O", "O", "O", "O"], "fractional_positions": [[0.0000, 0.0000, 0.0000], [0.0420, 0.8692, 0.5618], [0.4631, 0.1325, 0.7050], [0.5402, 0.2014, 0.2426], [0.7098, 0.5976, 0.8244], [0.4511, 0.7917, 0.2875], [0.9561, 0.4174, 0.3962], [0.1348, 0.1084, 0.2801], [0.2755, 0.5278, 0.3900], [0.5954, 0.8941, 0.0197], [0.6546, 0.8203, 0.5119], [0.9787, 0.2511, 0.6855]]}

***

(6)
{"formula": "NdGa2Ni", "functional": "PBE-GGA", "state": "optimized geometry", "formation_enthalpy_0k_ev_per_atom": -0.62, "energy_ev_per_atom": -4.77, "crystal_system": "orthorhombic", "spacegroup": "Cmmm (65)", "lattice": [[2.1038, -8.7735, 0.0000], [2.1038, 8.7735, 0.0000], [0.0000, 0.0000, 4.1758]], "species": ["Nd", "Nd", "Ga", "Ga", "Ga", "Ga", "Ni", "Ni"], "fractional_positions": [[0.1417, 0.8583, 0.0000], [0.8583, 0.1417, 0.0000], [0.0000, 0.0000, 0.5000], [0.2909, 0.7091, 0.5000], [0.5000, 0.5000, 0.0000], [0.7091, 0.2909, 0.5000], [0.4269, 0.5731, 0.5000], [0.5731, 0.4269, 0.5000]]}

***

What did the fifth record say?
{"formula": "Na5MgSbO5", "functional": "PBE-GGA", "state": "optimized geometry", "formation_enthalpy_0k_ev_per_atom": -1.77, "energy_ev_per_atom": -4.57, "crystal_system": "triclinic", "spacegroup": "P1 (1)", "magnetic_moment_mub_per_atom": 0.00, "lattice": [[5.3617, 0.0000, 0.0000], [1.7213, 5.5729, 0.0000], [0.3597, 1.1582, 6.5953]], "species": ["Na", "Na", "Na", "Na", "Na", "Mg", "Sb", "O", "O", "O", "O", "O"], "fractional_positions": [[0.0000, 0.0000, 0.0000], [0.0420, 0.8692, 0.5618], [0.4631, 0.1325, 0.7050], [0.5402, 0.2014, 0.2426], [0.7098, 0.5976, 0.8244], [0.4511, 0.7917, 0.2875], [0.9561, 0.4174, 0.3962], [0.1348, 0.1084, 0.2801], [0.2755, 0.5278, 0.3900], [0.5954, 0.8941, 0.0197], [0.6546, 0.8203, 0.5119], [0.9787, 0.2511, 0.6855]]}

***

Copy entry 1 word for word.
{"formula": "K3GaSe3", "functional": "PBE-GGA", "state": "optimized geometry", "formation_enthalpy_0k_ev_per_atom": -1.28, "energy_ev_per_atom": -3.48, "crystal_system": "monoclinic", "spacegroup": "P2_1/c (14)", "lattice": [[8.1775, 0.0000, 0.0000], [0.0000, 13.1929, 0.0000], [-6.5192, 0.0000, 8.4366]], "species": ["K", "K", "K", "K", "K", "K", "K", "K", "K", "K", "K", "K", "Ga", "Ga", "Ga", "Ga", "Se", "Se", "Se", "Se", "Se", "Se", "Se", "Se", "Se", "Se", "Se", "Se"], "fractional_positions": [[0.1248, 0.1229, 0.4742], [0.1248, 0.3771, 0.9742], [0.1608, 0.0908, 0.8957], [0.1608, 0.4092, 0.3957], [0.3686, 0.6898, 0.5833], [0.3686, 0.8102, 0.0833], [0.6314, 0.1898, 0.9167], [0.6314, 0.3102, 0.4167], [0.8392, 0.5908, 0.6043], [0.8392, 0.9092, 0.1043], [0.8752, 0.6229, 0.0258], [0.8752, 0.8771, 0.5258], [0.4334, 0.0611, 0.3352], [0.4334, 0.4389, 0.8352], [0.5666, 0.5611, 0.1648], [0.5666, 0.9389, 0.6648], [0.1488, 0.1795, 0.1870], [0.1488, 0.3204, 0.6870], [0.3405, 0.6086, 0.8753], [0.3405, 0.8914, 0.3753], [0.3717, 0.5480, 0.2651], [0.3717, 0.9520, 0.7651], [0.6283, 0.0480, 0.2349], [0.6283, 0.4520, 0.7349], [0.6595, 0.1086, 0.6247], [0.6595, 0.3914, 0.1247], [0.8512, 0.6796, 0.3130], [0.8512, 0.8204, 0.8130]]}